A relaxed structure of Sm3B3O7, computed with GGA-PBE.

Energy of formation, eV per formula unit: -36.90

Structure (CIF):
```
data_Sm3B3O7
_symmetry_space_group_name_H-M 'P 1'
_symmetry_Int_Tables_number 1
_cell_length_a 25.480
_cell_length_b 4.118
_cell_length_c 4.118
_cell_angle_alpha 57.01
_cell_angle_beta 90.00
_cell_angle_gamma 90.00
loop_
_symmetry_equiv_pos_as_xyz
'x,y,z'
loop_
_atom_site_label
_atom_site_type_symbol
_atom_site_fract_x
_atom_site_fract_y
_atom_site_fract_z
Sm1 Sm 0.082 0.000 0.000
Sm2 Sm 0.245 0.002 0.002
Sm3 Sm 0.418 0.997 0.997
Sm4 Sm 0.582 0.997 0.997
Sm5 Sm 0.755 0.002 0.002
Sm6 Sm 0.918 0.000 0.000
B1 B 0.000 0.238 0.238
B2 B 0.164 0.756 0.756
B3 B 0.331 0.354 0.354
B4 B 0.500 0.748 0.748
B5 B 0.669 0.354 0.354
B6 B 0.836 0.756 0.756
O1 O 0.047 0.333 0.333
O2 O 0.117 0.660 0.660
O3 O 0.211 0.657 0.657
O4 O 0.280 0.325 0.325
O5 O 0.331 0.970 0.970
O6 O 0.382 0.322 0.322
O7 O 0.453 0.651 0.651
O8 O 0.547 0.651 0.651
O9 O 0.618 0.322 0.322
O10 O 0.669 0.970 0.970
O11 O 0.720 0.325 0.325
O12 O 0.789 0.657 0.657
O13 O 0.883 0.660 0.660
O14 O 0.953 0.333 0.333
```